Material: Ba2Sb2O7
Method: DFT, PBE
State: optimized geometry

E_tot = -6.274 eV/atom
space-group type = No. 74
E_form = -2463 meV per atom

Unit cell a=7.774 b=7.774 c=7.774 alpha=119.85 beta=92.47 gamma=117.34
Fractional coordinates of all 22 atoms:
Ba 0.000 0.000 0.000
Ba 0.500 0.000 0.000
Ba 0.500 0.000 0.500
Ba 0.500 0.500 0.500
Sb 0.000 0.000 0.500
Sb 0.000 0.500 0.000
Sb 0.000 0.500 0.500
Sb 0.500 0.500 0.000
O 0.046 0.227 0.422
O 0.046 0.624 0.818
O 0.095 0.845 0.250
O 0.296 0.708 0.588
O 0.306 0.227 0.682
O 0.306 0.624 0.078
O 0.381 0.292 0.088
O 0.619 0.708 0.912
O 0.694 0.376 0.922
O 0.694 0.773 0.318
O 0.704 0.292 0.412
O 0.905 0.155 0.750
O 0.954 0.376 0.182
O 0.954 0.773 0.578